The following is a PBE-GGA calculation of Ce3S4 after structural relaxation, from the Materials Project.

Values from the calculation:
For the total magnetization, the calculation gives 7.94 Bohr magnetons per cell. The calculation puts the energy of formation at -2311 meV/atom. The space-group type is I-43d (220).

abc: 7.393 7.393 7.393
angles: 109.47 109.47 109.47
Atoms (fractional coordinates):
Ce  0.125  0.875  0.250
Ce  0.250  0.125  0.875
Ce  0.375  0.625  0.750
Ce  0.625  0.750  0.375
Ce  0.750  0.375  0.625
Ce  0.875  0.250  0.125
S  0.000  0.151  0.500
S  0.000  0.651  0.500
S  0.151  0.500  0.000
S  0.349  0.349  0.349
S  0.500  0.000  0.151
S  0.500  0.000  0.651
S  0.651  0.500  0.000
S  0.849  0.849  0.849